Entry 1:
{
  "formula": "K4MgZn4H16Br12O8",
  "functional": "PBE-GGA",
  "state": "relaxed",
  "density_g_cm3": 2.7,
  "delta_e_f_ev_per_atom": -1.22,
  "e_above_lowest_polymorph_ev_per_atom": 0.0004,
  "spacegroup": "P1",
  "cell": [[7.597, 0.000, 0.000], [-2.263, 9.670, 0.000], [-0.068, -0.647, 13.149]],
  "species": ["K", "K", "K", "K", "Mg", "Zn", "Zn", "Zn", "Zn", "H", "H", "H", "H", "H", "H", "H", "H", "H", "H", "H", "H", "H", "H", "H", "H", "Br", "Br", "Br", "Br", "Br", "Br", "Br", "Br", "Br", "Br", "Br", "Br", "O", "O", "O", "O", "O", "O", "O", "O"],
  "fractional_positions": [[0.000, 0.000, 0.000], [0.018, 0.501, 0.441], [0.426, 0.486, 0.827], [0.519, 0.007, 0.348], [0.766, 0.264, 0.678], [0.481, 0.306, 0.596], [0.500, 0.255, 0.087], [0.970, 0.751, 0.734], [0.971, 0.748, 0.221], [0.092, 0.239, 0.297], [0.203, 0.135, 0.499], [0.232, 0.782, 0.884], [0.235, 0.928, 0.828], [0.248, 0.361, 0.271], [0.252, 0.639, 0.016], [0.282, 0.241, 0.418], [0.434, 0.742, 0.997], [0.569, 0.737, 0.497], [0.705, 0.568, 0.298], [0.728, 0.293, 0.930], [0.730, 0.708, 0.372], [0.752, 0.438, 0.993], [0.752, 0.849, 0.497], [0.760, 0.065, 0.804], [0.952, 0.168, 0.807], [0.061, 0.812, 0.568], [0.225, 0.332, 0.069], [0.228, 0.156, 0.793], [0.258, 0.697, 0.254], [0.393, 0.538, 0.571], [0.512, 0.018, 0.053], [0.644, 0.329, 0.251], [0.704, 0.824, 0.796], [0.846, 0.666, 0.054], [0.889, 0.162, 0.523], [0.958, 0.503, 0.766], [0.962, 0.989, 0.249], [0.160, 0.837, 0.846], [0.176, 0.320, 0.329], [0.320, 0.181, 0.470], [0.331, 0.681, 0.961], [0.646, 0.805, 0.454], [0.663, 0.352, 0.969], [0.794, 0.649, 0.327], [0.817, 0.165, 0.806]]
}

---

Entry 2:
{
  "formula": "K4MgZn4H16Br12O8",
  "functional": "PBE-GGA",
  "state": "relaxed",
  "density_g_cm3": 2.7,
  "delta_e_f_ev_per_atom": -1.22,
  "e_above_lowest_polymorph_ev_per_atom": 0.0000,
  "spacegroup": "P1",
  "cell": [[7.498, 0.000, 0.000], [-1.411, 9.930, 0.000], [-0.881, -0.407, 12.849]],
  "species": ["K", "K", "K", "K", "Mg", "Zn", "Zn", "Zn", "Zn", "H", "H", "H", "H", "H", "H", "H", "H", "H", "H", "H", "H", "H", "H", "H", "H", "Br", "Br", "Br", "Br", "Br", "Br", "Br", "Br", "Br", "Br", "Br", "Br", "O", "O", "O", "O", "O", "O", "O", "O"],
  "fractional_positions": [[0.000, 0.000, 0.000], [0.138, 0.534, 0.503], [0.413, 0.482, 0.875], [0.559, 0.009, 0.338], [0.808, 0.677, 0.685], [0.030, 0.752, 0.254], [0.122, 0.835, 0.707], [0.564, 0.266, 0.115], [0.566, 0.241, 0.601], [0.068, 0.287, 0.331], [0.252, 0.363, 0.302], [0.282, 0.816, 0.918], [0.294, 0.676, 0.070], [0.297, 0.228, 0.439], [0.301, 0.085, 0.497], [0.362, 0.950, 0.868], [0.476, 0.736, 0.029], [0.617, 0.804, 0.541], [0.749, 0.166, 0.840], [0.783, 0.307, 0.962], [0.785, 0.576, 0.341], [0.800, 0.445, 0.034], [0.814, 0.705, 0.420], [0.819, 0.876, 0.558], [0.926, 0.265, 0.832], [0.023, 0.986, 0.287], [0.260, 0.315, 0.085], [0.321, 0.676, 0.271], [0.350, 0.856, 0.539], [0.443, 0.178, 0.764], [0.553, 0.486, 0.585], [0.578, 0.030, 0.082], [0.648, 0.775, 0.824], [0.704, 0.341, 0.286], [0.831, 0.154, 0.555], [0.873, 0.677, 0.089], [0.996, 0.485, 0.747], [0.185, 0.332, 0.362], [0.248, 0.893, 0.876], [0.354, 0.694, 0.005], [0.374, 0.171, 0.481], [0.716, 0.366, 0.006], [0.748, 0.786, 0.545], [0.863, 0.202, 0.880], [0.874, 0.652, 0.370]]
}